1.
DFT (r²SCAN) results for a relaxed Hf6BCl14 crystal.

a b c (Å): 9.4696 9.4696 11.4698
angles (deg): 90.00 90.00 83.39
Last column: nearest neighbours and their distance in Å.
Sites, in units of the cell vectors:
1 Hf 0.0484 0.1869 0.8841  1 B 2.30, 3 Cl 2.48-2.51
2 Hf 0.1494 0.8506 0.8924  1 B 2.25, 4 Cl 2.49-2.50
3 Hf 0.1869 0.0484 0.1159  1 B 2.30, 3 Cl 2.48-2.51
4 Hf 0.3131 0.4516 0.6159  1 B 2.30, 3 Cl 2.48-2.51
5 Hf 0.3506 0.6494 0.3924  1 B 2.25, 4 Cl 2.49-2.50
6 Hf 0.4516 0.3131 0.3841  1 B 2.30, 3 Cl 2.48-2.51
7 Hf 0.5484 0.6869 0.6159  1 B 2.30, 3 Cl 2.48-2.51
8 Hf 0.6494 0.3506 0.6076  1 B 2.25, 4 Cl 2.49-2.50
9 Hf 0.6869 0.5484 0.3841  1 B 2.30, 3 Cl 2.48-2.51
10 Hf 0.8131 0.9516 0.8841  1 B 2.30, 3 Cl 2.48-2.51
11 Hf 0.8506 0.1494 0.1076  1 B 2.25, 4 Cl 2.49-2.50
12 Hf 0.9516 0.8131 0.1159  1 B 2.30, 3 Cl 2.48-2.51
13 B 0.0000 0.0000 0.0000  6 Hf 2.25-2.30
14 B 0.5000 0.5000 0.5000  6 Hf 2.25-2.30
15 Cl 0.0341 0.2104 0.2490  2 Hf 2.49-2.50
16 Cl 0.1004 0.3996 0.7500  2 Hf 2.63
17 Cl 0.1200 0.6338 0.0096  2 Hf 2.50-2.51
18 Cl 0.1338 0.6200 0.5096  2 Hf 2.50-2.51
19 Cl 0.1575 0.8425 0.2609  3 Hf 2.60-2.86
20 Cl 0.2104 0.0341 0.7510  2 Hf 2.49-2.50
21 Cl 0.2482 0.2482 0.5000  2 Hf 2.48
22 Cl 0.2518 0.2518 0.0000  2 Hf 2.48
23 Cl 0.2896 0.4659 0.2510  2 Hf 2.49-2.50
24 Cl 0.3425 0.6575 0.7609  3 Hf 2.60-2.86
25 Cl 0.3662 0.8800 0.0096  2 Hf 2.50-2.51
26 Cl 0.3800 0.8662 0.5096  2 Hf 2.50-2.51
27 Cl 0.3996 0.1004 0.2500  2 Hf 2.63
28 Cl 0.4659 0.2896 0.7490  2 Hf 2.49-2.50
29 Cl 0.5341 0.7104 0.2510  2 Hf 2.49-2.50
30 Cl 0.6004 0.8996 0.7500  2 Hf 2.63
31 Cl 0.6200 0.1338 0.4904  2 Hf 2.50-2.51
32 Cl 0.6338 0.1200 0.9904  2 Hf 2.50-2.51
33 Cl 0.6575 0.3425 0.2391  3 Hf 2.60-2.86
34 Cl 0.7104 0.5341 0.7490  2 Hf 2.49-2.50
35 Cl 0.7482 0.7482 0.0000  2 Hf 2.48
36 Cl 0.7518 0.7518 0.5000  2 Hf 2.48
37 Cl 0.7896 0.9659 0.2490  2 Hf 2.49-2.50
38 Cl 0.8425 0.1575 0.7391  3 Hf 2.60-2.86
39 Cl 0.8662 0.3800 0.4904  2 Hf 2.50-2.51
40 Cl 0.8800 0.3662 0.9904  2 Hf 2.50-2.51
41 Cl 0.8996 0.6004 0.2500  2 Hf 2.63
42 Cl 0.9659 0.7896 0.7510  2 Hf 2.49-2.50

Output
Calculated formation energy   -1.919 eV/atom
Crystal system   orthorhombic

2.
DFT (r²SCAN) results for a relaxed CsBeF3 crystal.

a b c (Å): 4.8440 6.0042 12.5178
angles (deg): 90.00 90.00 90.00
Last column: nearest neighbours and their distance in Å.
Sites, in units of the cell vectors:
1 Cs 0.2410 0.2500 0.1051  6 F 2.96-3.06
2 Cs 0.2590 0.7500 0.6051  6 F 2.96-3.06
3 Cs 0.7410 0.2500 0.3949  6 F 2.96-3.06
4 Cs 0.7590 0.7500 0.8949  6 F 2.96-3.06
5 Be 0.1917 0.7500 0.3205  4 F 1.52-1.61
6 Be 0.3083 0.2500 0.8205  4 F 1.52-1.61
7 Be 0.6917 0.7500 0.1795  4 F 1.52-1.61
8 Be 0.8083 0.2500 0.6795  4 F 1.52-1.61
9 F 0.1284 0.2500 0.7142  2 Be 1.59-1.61
10 F 0.2454 0.5370 0.3827  1 Be 1.52
11 F 0.2454 0.9630 0.3827  1 Be 1.52
12 F 0.2546 0.0370 0.8827  1 Be 1.52
13 F 0.2546 0.4630 0.8827  1 Be 1.52
14 F 0.3716 0.7500 0.2142  2 Be 1.59-1.61
15 F 0.6284 0.2500 0.7858  2 Be 1.59-1.61
16 F 0.7454 0.5370 0.1173  1 Be 1.52
17 F 0.7454 0.9630 0.1173  1 Be 1.52
18 F 0.7546 0.0370 0.6173  1 Be 1.52
19 F 0.7546 0.4630 0.6173  1 Be 1.52
20 F 0.8716 0.7500 0.2858  2 Be 1.59-1.61

Output
Calculated formation energy   -3.360 eV/atom
Crystal system   orthorhombic

3.
DFT (r²SCAN) results for a relaxed Fe3Ge crystal.

a b c (Å): 3.6605 3.6605 3.6605
angles (deg): 90.00 90.00 90.00
Last column: nearest neighbours and their distance in Å.
Sites, in units of the cell vectors:
1 Fe 0.0000 0.0000 0.5000  4 Ge 2.59, 8 Fe 2.59
2 Fe 0.0000 0.5000 0.0000  4 Ge 2.59, 8 Fe 2.59
3 Fe 0.5000 0.0000 0.0000  4 Ge 2.59, 8 Fe 2.59
4 Ge 0.5000 0.5000 0.5000  12 Fe 2.59

Output
Calculated formation energy   -0.070 eV/atom
Crystal system   cubic

4.
DFT (r²SCAN) results for a relaxed Cr5InS8 crystal.

a b c (Å): 9.1853 9.1853 8.6860
angles (deg): 105.06 105.06 21.80
Last column: nearest neighbours and their distance in Å.
Sites, in units of the cell vectors:
1 Cr 0.0000 0.0000 0.0000  6 S 2.36-2.53
2 Cr 0.0457 0.0457 0.3627  6 S 2.35-2.51
3 Cr 0.3410 0.3410 0.0273  6 S 2.38-2.43
4 Cr 0.6375 0.6375 0.6932  6 S 2.35-2.52
5 Cr 0.6842 0.6842 0.0577  6 S 2.35-2.53
6 In 0.8590 0.8590 0.5316  7 S 3.23-3.53, 2 In 3.47
7 S 0.1044 0.1044 0.8738  5 Cr 2.42-2.53
8 S 0.1695 0.1695 0.5396  3 Cr 2.35
9 S 0.2583 0.2583 0.2039  3 Cr 2.35-2.41
10 S 0.4258 0.4258 0.8521  3 Cr 2.36-2.43
11 S 0.5121 0.5121 0.5164  3 Cr 2.37
12 S 0.5792 0.5792 0.1844  5 Cr 2.43-2.53
13 S 0.7641 0.7641 0.8795  4 Cr 2.38-2.42
14 S 0.9184 0.9184 0.1753  4 Cr 2.38-2.44

Output
Calculated formation energy   -0.956 eV/atom
Crystal system   monoclinic

5.
DFT (r²SCAN) results for a relaxed PrAlH6 crystal.

a b c (Å): 4.2717 4.2717 4.2717
angles (deg): 98.37 98.37 98.37
Last column: nearest neighbours and their distance in Å.
Sites, in units of the cell vectors:
1 Pr 0.0000 0.0000 0.0000  12 H 2.41-2.42
2 Al 0.5000 0.5000 0.5000  6 H 1.72
3 H 0.2064 0.2064 0.5615  1 Al 1.72
4 H 0.2064 0.5615 0.2064  1 Al 1.72
5 H 0.4385 0.7936 0.7936  1 Al 1.72
6 H 0.5615 0.2064 0.2064  1 Al 1.72
7 H 0.7936 0.4385 0.7936  1 Al 1.72
8 H 0.7936 0.7936 0.4385  1 Al 1.72

Output
Calculated formation energy   -0.380 eV/atom
Crystal system   trigonal

6.
DFT (r²SCAN) results for a relaxed Al3GaN4 crystal.

a b c (Å): 5.0377 3.1254 5.4112
angles (deg): 90.00 90.04 90.00
Last column: nearest neighbours and their distance in Å.
Sites, in units of the cell vectors:
1 Al 0.0000 0.0000 0.0000  4 N 1.89-1.90
2 Al 0.0001 0.5000 0.4966  4 N 1.89-1.90
3 Al 0.4993 0.0000 0.3323  4 N 1.87-1.90
4 Ga 0.4990 0.5000 0.8312  4 N 1.93-1.96
5 N 0.1094 0.5000 0.8313  3 Al 1.89, 1 Ga 1.96
6 N 0.1218 0.0000 0.3322  4 Al 1.90
7 N 0.6227 0.5000 0.4903  3 Al 1.89-1.90, 1 Ga 1.95
8 N 0.6251 0.0000 0.0063  2 Al 1.87-1.89, 2 Ga 1.93

Output
Calculated formation energy   -1.425 eV/atom
Excess energy over the best structure of this formula in the dataset   0.000 eV/atom
Crystal system   monoclinic

7.
DFT (r²SCAN) results for a relaxed CaP3 crystal.

a b c (Å): 5.5923 5.6653 5.6828
angles (deg): 69.69 79.75 75.03
Last column: nearest neighbours and their distance in Å.
Sites, in units of the cell vectors:
1 Ca 0.1775 0.1399 0.1440  7 P 2.91-3.25
2 Ca 0.8225 0.8601 0.8560  7 P 2.91-3.25
3 P 0.0998 0.3007 0.5954  2 P 2.17-2.22
4 P 0.3733 0.6740 0.8930  2 P 2.19-2.21
5 P 0.4931 0.3048 0.4985  3 P 2.17-2.24
6 P 0.5069 0.6952 0.5015  3 P 2.17-2.24
7 P 0.6267 0.3260 0.1070  2 P 2.19-2.21
8 P 0.9002 0.6993 0.4046  2 P 2.17-2.22

Output
Calculated formation energy   -0.731 eV/atom
Crystal system   triclinic

8.
DFT (r²SCAN) results for a relaxed ZrPbO3 crystal.

a b c (Å): 6.8182 6.8182 6.8182
angles (deg): 48.55 48.55 48.55
Last column: nearest neighbours and their distance in Å.
Sites, in units of the cell vectors:
1 Zr 0.1620 0.1620 0.1620  6 O 2.09-2.13
2 Zr 0.8380 0.8380 0.8380  6 O 2.09-2.13
3 Pb 0.3776 0.3776 0.3776  3 O 2.32
4 Pb 0.6224 0.6224 0.6224  3 O 2.32
5 O 0.0679 0.8016 0.4432  2 Zr 2.09-2.13, 1 Pb 2.32
6 O 0.1984 0.5568 0.9321  2 Zr 2.09-2.13, 1 Pb 2.32
7 O 0.4432 0.0679 0.8016  2 Zr 2.09-2.13, 1 Pb 2.32
8 O 0.5568 0.9321 0.1984  2 Zr 2.09-2.13, 1 Pb 2.32
9 O 0.8016 0.4432 0.0679  2 Zr 2.09-2.13, 1 Pb 2.32
10 O 0.9321 0.1984 0.5568  2 Zr 2.09-2.13, 1 Pb 2.32

Output
Calculated formation energy   -2.694 eV/atom
Crystal system   trigonal